# Na5AlH8O8 PBE optimized geometry
data_Na5AlH8O8
_chemical_formula_sum 'Na20 Al4 H32 O32'
_symmetry_space_group_name_H-M 'P 43 21 2'
_symmetry_Int_Tables_number 96
_cell_length_a 9.4639
_cell_length_b 9.4639
_cell_length_c 9.6610
_cell_angle_alpha 90.00
_cell_angle_beta 90.00
_cell_angle_gamma 90.00
loop_
_symmetry_equiv_pos_as_xyz
'x,y,z'
'-y+1/2,x+1/2,z+3/4'
'-x,-y,z+1/2'
'y+1/2,-x+1/2,z+1/4'
'x+1/2,-y+1/2,-z+1/4'
'-y,-x,-z+1/2'
'-x+1/2,y+1/2,-z+3/4'
'y,x,-z'
loop_
_atom_site_label
_atom_site_type_symbol
_atom_site_fract_x
_atom_site_fract_y
_atom_site_fract_z
_atom_site_occupancy
Na1 Na 0.1145 0.3718 0.2222 1
Na2 Na 0.1224 0.6306 0.4832 1
Na3 Na 0.1239 0.8761 0.7500 1
Al1 Al 0.1309 0.1309 0.5000 1
H1 H 0.0310 0.1319 0.7311 1
H2 H 0.0471 0.8928 0.4536 1
H3 H 0.1356 0.2625 0.9609 1
H4 H 0.1373 0.7172 0.1938 1
O1 O 0.0756 0.8635 0.0076 1
O2 O 0.1207 0.3633 0.9776 1
O3 O 0.1294 0.1302 0.2957 1
O4 O 0.1289 0.3362 0.4898 1
# - DFT formation energy: -1.721 eV per atom
# - Total magnetization: 0.00 Bohr magnetons per cell
# - Polymorph energy (0 for the lowest one): 0.0000 eV/atom
# - Theoretical density: 2.1 g cm⁻³
# - Final energy: -109.4 eV/f.u.